Al2O3 | r2SCAN | optimized geometry

Unit cell a=5.252 b=5.252 c=5.252 alpha=54.35 beta=54.35 gamma=54.35
Element x y z (fractional)
Al  0.000  0.000  0.000
Al  0.193  0.193  0.193
Al  0.500  0.500  0.500
Al  0.807  0.807  0.807
O  0.104  0.392  0.780
O  0.220  0.896  0.608
O  0.392  0.780  0.104
O  0.608  0.220  0.896
O  0.780  0.104  0.392
O  0.896  0.608  0.220

Computed properties:
- Formation energy from the elements: -3.275 eV/atom